! Na9Ta4Zn2Si6P3O36 (GGA-PBE, relaxed); values from VASP
! - Energy of formation: -276.84 kJ per mole of atoms
! - Relative energy among the computed polymorphs: 0.0 meV per atom
! - Crystal system: triclinic
! - MP2020-corrected energy: -7.682 eV/atom
&SYSTEM
  ibrav = 0, nat = 360, ntyp = 6
/
ATOMIC_SPECIES
Na 22.99 Na.upf
Ta 180.95 Ta.upf
Zn 65.41 Zn.upf
Si 28.09 Si.upf
P 30.97 P.upf
O 16.00 O.upf
CELL_PARAMETERS angstrom
-2.4313 2.1146 8.4651
-18.0017 -11.2307 -16.8428
6.2186 -20.3324 6.8214
ATOMIC_POSITIONS angstrom
Na -14.9696 -21.2359 -13.3325
Na -2.8011 -13.8931 -2.0567
Na -11.3250 -15.5368 0.6107
Na -2.5296 1.9881 8.2262
Na -6.1758 -3.8126 -5.5733
Na -11.9290 -7.6521 -11.1115
Na 1.5067 -16.6601 9.5590
Na -4.3283 -20.8101 3.7377
Na -10.5123 -24.0594 -1.6682
Na -1.4644 -6.3497 6.0340
Na -7.4948 -10.4568 0.5258
Na -13.5899 -14.1313 -5.2058
Na -3.7192 -5.1120 0.1646
Na -9.7260 -9.0524 -5.5110
Na -15.9187 -12.5948 -11.0701
Na -0.5411 -15.4018 3.5960
Na -6.6686 -19.1942 -1.8674
Na -12.5666 -22.7276 -7.9475
Na -11.8244 -11.2916 -4.1046
Na -1.5789 -5.5109 2.8623
Na -7.5539 -9.6583 -2.9203
Na -13.5175 -12.9633 -8.6533
Na -4.6016 -5.1881 6.5434
Na -8.3626 -11.2110 -7.3195
Na -0.4746 -16.2107 6.7975
Na -6.5340 -20.2507 1.3027
Na -12.5423 -23.5273 -4.3157
Na -0.0763 -14.5853 11.3471
Na -3.6689 -20.5535 -2.4630
Na 3.5771 -14.3041 8.2571
Na -2.0944 -18.3258 2.8168
Na -8.2903 -21.9085 -2.8351
Na -11.2960 -19.8602 -6.6408
Na -6.6105 -17.9939 -5.4341
Na -3.9083 -13.9366 4.1319
Na -15.7608 -21.3873 -7.1524
Na -6.2190 -4.5001 -2.4064
Na -18.0063 -11.9045 -13.4812
Na -5.1363 -2.9580 2.4092
Na -11.4089 -6.8097 -3.2360
Na -17.3559 -10.1986 -9.1400
Na -13.6544 -10.3330 -12.0462
Na -6.4496 -22.9862 5.1590
Na -12.7438 -26.6598 -0.3961
Na -2.2057 -21.2163 6.3469
Na 2.9294 -18.9463 7.3476
Na -8.9265 -26.7516 -3.8945
Na -1.5287 -7.3221 9.4057
Na -7.4831 -11.4972 3.6033
Na -13.6946 -15.2664 -1.7210
Na 1.6716 -7.8776 5.3178
Na -4.4871 -11.8728 -0.0128
Na -8.9430 -13.3828 -0.4521
Na -15.3102 -16.8650 -6.2923
Ta -6.2004 -8.8548 5.1990
Ta -9.8476 -14.6392 -8.7602
Ta 2.8949 -15.2900 14.2599
Ta -0.7329 -21.1469 0.2696
Ta -9.0285 -22.7834 3.0392
Ta -13.9825 -24.2755 -12.4079
Ta -1.9755 -16.8314 -1.1948
Ta -10.4907 -18.5031 1.5686
Ta -19.4954 -12.1530 -7.3823
Ta -7.4847 -4.5983 3.8114
Ta -5.3588 -17.5305 2.8527
Ta -8.4429 -7.3202 -0.5427
Ta -14.4006 -11.1470 -6.1500
Ta 2.4744 -19.7602 10.5221
Ta -9.5746 -27.1994 -0.7914
Ta -0.6613 -9.6814 7.0286
Ta -12.6458 -17.1025 -4.1523
Ta -4.6972 -2.1282 -0.8080
Ta -10.6706 -5.9369 -6.4307
Ta -1.5583 -12.4293 2.6718
Ta -7.5988 -16.1284 -2.9651
Ta -2.8698 -8.1247 1.2788
Ta -14.8657 -15.6641 -10.0768
Ta -11.7517 -25.7939 -6.6235
Zn -18.1848 -16.1379 -5.9691
Zn -11.1732 -10.5224 -10.1849
Zn 0.5328 -13.6470 8.4640
Zn -11.2941 -21.2796 -2.7183
Zn -2.5936 -3.5530 4.9954
Zn -3.3579 -23.6506 4.8247
Zn -6.5323 -13.5347 1.4954
Zn -16.7235 -9.5189 -12.1191
Zn -13.5436 -19.7517 -8.7248
Zn -8.9580 -12.0450 -4.4176
Zn 0.3372 -18.4076 4.7122
Zn -5.8219 -22.1354 -0.9967
Si -5.1487 -8.2226 -1.4576
Si -11.1310 -11.8327 -7.0508
Si -4.3796 -6.2138 3.7116
Si -16.3780 -13.7799 -7.5650
Si -8.6034 -7.8355 2.8915
Si -14.6377 -11.5023 -2.7331
Si -3.7987 -19.4621 0.3621
Si -9.7417 -23.2311 -5.2853
Si -5.6266 -21.6382 -4.4935
Si -14.0019 -23.2662 -1.6125
Si 2.9203 -13.7062 11.1126
Si -3.0431 -17.4736 5.5264
Si -0.6756 -11.1301 10.2617
Si -6.7077 -14.7463 4.6098
Si -3.5184 -14.9275 1.2920
Si -9.5331 -18.8149 -4.2793
Si -1.6886 -12.9248 6.1568
Si -7.7450 -16.5052 0.4626
Si -5.5609 -2.0634 5.2338
Si -17.5596 -9.4906 -6.0499
Si -7.3776 -4.0658 0.3476
Si -13.3597 -7.9393 -5.2526
Si -2.3750 -2.1842 1.8843
Si -8.3909 -5.9200 -3.7495
Si 0.1364 -19.7725 7.8293
Si -11.8435 -27.3672 -3.4486
Si 3.2894 -19.8354 4.4123
Si -8.6157 -27.5069 -6.6965
Si -6.8822 -25.1605 -1.9527
Si -12.8906 -29.0353 -7.4989
Si -4.6746 -10.7763 2.7689
Si -10.7115 -14.4224 -2.8381
Si -0.4970 -9.1637 3.5988
Si -12.4931 -16.6913 -7.6206
Si -1.5181 -10.8604 -0.5025
Si -13.5525 -18.4678 -11.8056
P 0.8516 -4.5141 4.2114
P -10.4531 -9.8998 -1.8584
P -0.1594 -6.2617 0.1243
P 2.2367 -15.7147 5.8824
P -1.9991 -15.8427 9.5531
P -9.0981 -21.2347 -0.0912
P -12.7228 -18.6692 -1.0097
P 2.5023 -11.2782 6.9430
P -13.7313 -20.3234 -5.0665
P -11.5636 -5.6411 -0.4481
P -1.3672 -0.5599 6.0014
P -14.3707 -9.6216 -9.3130
P -5.7787 -23.5094 2.1630
P -2.6971 -23.5978 -1.1173
P -0.9182 -21.4613 3.6523
P -16.6428 -18.3167 -8.5100
P -6.4885 -12.8682 -2.1495
P -7.5277 -14.5385 -6.2057
O 1.2421 -5.9382 3.8265
O -4.7859 -9.7309 -2.0309
O -10.6229 -13.3459 -7.6296
O -5.0838 -7.5299 4.4605
O -10.9346 -11.1646 -1.0275
O -16.6640 -15.0649 -6.6873
O 0.7382 -7.0933 1.0234
O -7.5523 -8.7624 3.7836
O -13.4310 -12.2415 -1.8390
O 3.4270 -16.7328 5.9801
O -2.5057 -20.4717 0.6153
O -8.3485 -24.1371 -5.1804
O -2.3286 -17.3821 9.3452
O -8.1006 -21.1534 3.6821
O -14.3354 -24.8840 -1.8654
O 2.9310 -14.6824 12.4481
O -3.1657 -18.4976 6.8429
O -8.8974 -22.1247 1.1903
O -3.5637 -15.9983 6.0101
O -9.7458 -19.9008 0.4348
O -15.5242 -23.4320 -5.1705
O 2.8251 -14.4191 5.1928
O -3.1318 -18.1813 -0.4175
O -9.3679 -21.8530 -6.1383
O -2.9552 -15.1078 8.5663
O -6.7436 -20.9315 -5.4983
O -12.7221 -24.5879 -10.9787
O -5.6036 -5.1372 3.5303
O -11.6137 -8.9820 -2.2080
O -17.7364 -12.8333 -7.7527
O 0.0569 -4.7244 0.4742
O -8.1796 -6.2867 3.2617
O -12.3238 -12.0594 -10.8748
O -5.0114 -7.1699 -2.7096
O -11.0000 -10.8368 -8.2791
O -17.0575 -14.7904 -13.9172
O -0.3137 -12.6517 9.9427
O -6.3120 -16.2610 4.0232
O -12.2073 -20.0009 -1.4371
O 2.0882 -12.5552 7.6752
O -4.1020 -16.2121 2.1992
O -9.7273 -20.1289 -3.4205
O -0.6585 -13.8706 6.9106
O -6.6106 -17.3331 1.3469
O -12.6878 -21.1198 -4.3095
O -4.4645 -3.1463 5.6358
O -10.3013 -6.5916 -0.2034
O -16.1424 -10.3497 -5.9669
O -1.5179 -2.0253 5.6959
O -7.6189 -5.6714 -0.0911
O -13.3910 -9.5783 -5.4751
O -2.6545 -3.3613 2.9449
O -8.5467 -7.0228 -2.4958
O -14.1814 -10.4858 -8.0172
O -2.7160 -0.6858 2.4801
O -8.5072 -4.4370 -3.1816
O -15.0964 -8.2970 -8.8668
O -4.8746 -0.8609 4.3430
O -11.1313 -4.3797 -1.1925
O -17.1897 -8.1555 -6.9552
O -2.3870 0.2962 5.1696
O -8.4247 -3.1271 -0.3822
O -14.5300 -7.3162 -6.2495
O 1.2400 -10.3357 6.7172
O -4.6988 -13.9289 0.8942
O -10.9474 -17.9615 -4.4743
O -1.4401 -11.3108 6.5237
O -7.8141 -14.9527 0.8747
O -13.5913 -18.7724 -4.7828
O -0.5159 -10.1178 8.9397
O -6.4974 -13.6234 3.4852
O -12.7896 -17.6560 -2.2295
O 0.5014 -21.2788 7.2180
O -5.2794 -24.9013 1.6152
O -11.4155 -28.8551 -3.8319
O 2.6002 -21.0624 5.3047
O -3.1780 -24.8776 -0.3350
O -8.8881 -28.7306 -5.6898
O 0.1026 -22.2567 4.5532
O -5.6674 -25.8409 -1.0439
O -11.6698 -29.8994 -6.9026
O -3.4689 -11.8403 3.0001
O -9.2994 -15.2693 -2.6500
O -15.4888 -19.2492 -8.1637
O -0.8963 -10.7058 3.2141
O -6.6604 -14.3963 -2.4875
O -12.3784 -18.2487 -7.9622
O -1.7306 -11.8649 0.7621
O -7.5174 -15.5099 -4.9759
O -13.6886 -19.5079 -10.6143
O -1.8793 -9.3198 0.0028
O -7.9846 -13.1365 -5.8276
O -13.9803 -16.9570 -11.1953
O -3.9968 -9.4464 2.0075
O -10.4916 -13.1061 -3.6924
O -16.1182 -17.0846 -9.3571
O -1.5521 -8.2310 2.6978
O -7.4366 -12.0379 -3.0048
O -13.6778 -15.9378 -8.4973
O 2.1858 -18.7581 4.0141
O -3.8528 -22.6301 -1.3287
O -10.0104 -26.6405 -6.9574
O -0.7597 -19.9541 3.8501
O -6.9645 -23.5852 -1.7635
O -12.7301 -27.4202 -7.1858
O 0.3626 -18.6240 6.7262
O -5.8458 -22.4711 1.0559
O -11.7553 -26.3207 -4.7198
O -2.5781 -11.3717 -1.6593
O -8.4852 -15.1973 -7.2875
O -14.4560 -18.9783 -13.0333
O -5.2673 -10.3349 4.2623
O -11.2666 -14.0723 -1.2977
O -17.3236 -17.8792 -7.2156
O 1.0344 -8.8746 3.2337
O -4.9662 -12.5778 -2.4970
O -11.0266 -16.0523 -8.0816
O 4.4654 -19.2174 5.4131
O -1.5456 -22.9775 -0.2148
O -7.4752 -26.5837 -5.9474
O -0.5682 -21.8897 2.1721
O -6.5076 -25.6270 -3.5265
O -12.7750 -29.2971 -9.1428
O -1.4078 -19.9675 8.3908
O -7.2366 -23.7854 2.7539
O -13.3308 -27.3902 -2.7074
O 0.3651 -10.4495 11.3794
O -5.7209 -14.3064 5.8430
O -11.7271 -17.9501 0.0292
O 3.0164 -11.6107 5.4873
O -2.7795 -15.4487 -0.0742
O -8.9694 -19.0934 -5.8460
O -3.2932 -13.2250 6.4599
O -9.2513 -17.0937 0.8473
O -15.2257 -20.6514 -4.6505
O -6.7932 -2.6967 4.2966
O -12.6206 -6.3639 -1.2647
O -18.6551 -10.3488 -6.9793
O -1.6703 -0.2132 7.5348
O -7.4743 -3.8562 1.9713
O -13.6596 -7.4920 -3.7344
O -0.8209 -2.0893 1.3174
O -6.8711 -5.9764 -4.3894
O -13.0420 -9.2671 -9.9578
O 1.9719 -14.3673 9.9958
O -4.1497 -18.0487 4.4182
O -9.9735 -21.9441 -1.0792
O 1.7809 -15.4599 7.3122
O -4.2971 -18.9926 1.8740
O -10.2751 -22.9538 -3.7999
O -0.5364 -15.6612 9.1779
O -6.5314 -19.0816 3.4865
O -12.5103 -22.9553 -2.0610
O -3.1914 -5.6819 4.6495
O -9.4087 -9.2049 -0.8825
O -15.1964 -12.8453 -6.8515
O -2.4071 -4.4852 7.1242
O -8.3286 -8.0994 1.2805
O -14.2885 -11.9178 -4.2944
O -0.5670 -4.5226 4.7560
O -6.7063 -8.2952 -0.9122
O -12.6727 -12.1604 -6.5005
O 1.1897 -19.4273 9.0484
O -4.9308 -23.0220 3.3416
O -10.8371 -26.6896 -2.3030
O 1.5963 -18.3712 11.5695
O -4.5256 -21.8322 5.9833
O -10.5208 -25.7860 0.2495
O 3.5823 -18.2707 9.7142
O -2.3506 -21.8513 4.0145
O -8.3333 -25.8923 -1.6296
O 0.2913 -7.7717 7.3861
O -5.8679 -11.3078 1.8306
O -11.8480 -15.4140 -3.5211
O -0.7651 -8.8843 5.2054
O -6.7403 -12.5584 -0.6689
O -12.7973 -16.3528 -6.0305
O -2.3837 -8.7058 7.4499
O -8.5613 -12.3193 1.6257
O -14.4030 -16.1358 -3.8688
O -3.4077 -2.5201 0.6216
O -9.4847 -6.4102 -4.8748
O -15.2994 -10.4322 -10.2287
O -3.9019 -3.5755 -1.9050
O -9.6600 -7.3732 -7.4688
O -15.6878 -11.3197 -13.0388
O -5.8005 -3.7501 -0.0662
O -11.8721 -7.3502 -5.7248
O -17.9306 -11.3327 -11.1414
O -2.3662 -14.2597 2.2618
O -8.3900 -17.7940 -3.6266
O -14.4299 -21.8084 -9.0668
O -1.5462 -13.1272 4.5281
O -7.4708 -16.8062 -1.1411
O -13.5786 -20.6210 -6.5683
O 0.2273 -13.1602 2.3841
O -5.8327 -17.0131 -3.3492
O -11.6424 -20.8507 -8.7495
O -4.0844 -7.6924 -0.3285
O -10.2291 -11.2913 -5.8311
O -16.1405 -15.1393 -11.5926
O -3.8318 -6.6273 2.2061
O -9.7471 -10.3175 -3.1463
O -15.7568 -14.1348 -9.0657
O -1.6942 -6.4860 0.5265
O -7.7106 -10.2071 -5.2199
O -13.6377 -14.2800 -10.7285
O 1.1395 -16.2351 4.9536
O -4.9865 -20.1145 -0.4904
O -10.8827 -24.0547 -6.1519
O 0.0654 -17.4977 2.4949
O -5.9161 -21.1706 -2.9870
O -11.9894 -25.0793 -8.5038
O -1.5667 -17.3440 4.8953
O -7.7111 -20.8581 -0.6410
O -13.5170 -24.7977 -6.2555